PBE+U WO2F2, relaxed; V = 143.0 Å³ per cell; formation enthalpy at 0 K = -2483 meV per atom; electronic total energy = -6.473 eV per atom; E (MP2020) = -7.820 eV per atom
1.0
2.7414 -2.7468 0.0000
2.7414 2.7468 0.0000
0.0000 0.0000 9.4935
W O F
2 4 4
direct
0.2798 0.2798 0.2500
0.7202 0.7202 0.7500
0.7432 0.2459 0.7500
0.7541 0.2568 0.2500
0.2459 0.7432 0.7500
0.2568 0.7541 0.2500
0.2412 0.2412 0.0516
0.2412 0.2412 0.4484
0.7588 0.7588 0.5516
0.7588 0.7588 0.9484



PBE+U Li2V3SnO8, relaxed; total magnetic moment = 5.00 μB per formula unit; V = 616.4 Å³ per cell; formation enthalpy at 0 K = -2373 meV per atom; electronic total energy = -6.949 eV per atom; E (MP2020) = -7.706 eV per atom
1.0
-3.5858 0.4102 -7.7073
7.6827 -0.6249 -3.6076
-0.7398 -8.4776 -0.1070
Li V Sn O
8 12 4 32
direct
0.0037 0.0037 0.0037
0.2463 0.2463 0.2463
0.2537 0.7537 0.7463
0.4963 0.9963 0.5037
0.5037 0.4963 0.9963
0.7463 0.2537 0.7537
0.7537 0.7463 0.2537
0.9963 0.5037 0.4963
0.1118 0.1382 0.6250
0.1250 0.3882 0.8618
0.1382 0.6250 0.1118
0.3618 0.3750 0.6118
0.3750 0.6118 0.3618
0.3882 0.8618 0.1250
0.6118 0.3618 0.3750
0.6250 0.1118 0.1382
0.6382 0.8750 0.8882
0.8618 0.1250 0.3882
0.8750 0.8882 0.6382
0.8882 0.6382 0.8750
0.1250 0.8750 0.3750
0.3750 0.1250 0.8750
0.6250 0.6250 0.6250
0.8750 0.3750 0.1250
0.1036 0.1214 0.3883
0.1117 0.8964 0.6214
0.1203 0.6203 0.8797
0.1286 0.1464 0.8617
0.1214 0.3883 0.1036
0.1297 0.3703 0.6297
0.1383 0.6286 0.3536
0.1464 0.8617 0.1286
0.3536 0.1383 0.6286
0.3617 0.3714 0.8536
0.3703 0.6297 0.1297
0.3786 0.6117 0.6036
0.3714 0.8536 0.3617
0.3797 0.3797 0.3797
0.3883 0.1036 0.1214
0.3964 0.8786 0.8883
0.6036 0.3786 0.6117
0.6117 0.6036 0.3786
0.6203 0.8797 0.1203
0.6286 0.3536 0.1383
0.6214 0.1117 0.8964
0.6297 0.1297 0.3703
0.6383 0.8714 0.6464
0.6464 0.6383 0.8714
0.8536 0.3617 0.3714
0.8617 0.1286 0.1464
0.8703 0.8703 0.8703
0.8786 0.8883 0.3964
0.8714 0.6464 0.6383
0.8797 0.1203 0.6203
0.8883 0.3964 0.8786
0.8964 0.6214 0.1117



PBE+U MgV4O8, relaxed; total magnetic moment = 6.00 μB per formula unit; V = 156.1 Å³ per cell; formation enthalpy at 0 K = -2487 meV per atom; electronic total energy = -7.504 eV per atom; E (MP2020) = -8.450 eV per atom
1.0
3.9795 0.2933 0.2479
-1.4267 -3.4430 -5.2646
-0.3421 6.3023 -1.9646
Mg V O
1 4 8
direct
0.1744 0.3487 0.0176
0.2978 0.5954 0.7032
0.7166 0.4331 0.3307
0.4045 0.8087 0.2933
0.5968 0.1935 0.6901
0.3430 0.6857 0.9972
0.6446 0.2891 0.0042
0.2390 0.4777 0.3403
0.7594 0.5186 0.6460
0.4475 0.8948 0.6276
0.5675 0.1348 0.3637
0.1284 0.2566 0.7108
0.8641 0.7279 0.3065



PBE+U La7Mo7O30, relaxed; total magnetic moment = 3.00 μB per formula unit; V = 596.7 Å³ per cell; formation enthalpy at 0 K = -2849 meV per atom; electronic total energy = -7.755 eV per atom; E (MP2020) = -8.733 eV per atom
1.0
5.4931 -8.6300 0.0000
5.4931 8.6300 0.0000
-8.0652 0.0000 6.2931
La Mo O
7 7 30
direct
0.8911 0.6604 0.4668
0.4668 0.8911 0.6604
0.3396 0.5332 0.1089
0.1089 0.3396 0.5332
0.5332 0.1089 0.3396
0.6604 0.4668 0.8911
0.0000 0.0000 0.0000
0.8376 0.0126 0.6330
0.6330 0.8376 0.0126
0.0126 0.6330 0.8376
0.1624 0.9874 0.3670
0.3670 0.1624 0.9874
0.9874 0.3670 0.1624
0.5000 0.5000 0.5000
0.8089 0.6288 0.6592
0.6592 0.8089 0.6288
0.6288 0.6592 0.8089
0.1911 0.3712 0.3408
0.3408 0.1911 0.3712
0.3712 0.3408 0.1911
0.6220 0.9753 0.4844
0.4844 0.6220 0.9753
0.9753 0.4844 0.6220
0.3780 0.0247 0.5156
0.5156 0.3780 0.0247
0.0247 0.5156 0.3780
0.0704 0.0102 0.7813
0.7813 0.0704 0.0102
0.2251 0.6054 0.2731
0.6054 0.2731 0.2251
0.2731 0.2251 0.6054
0.7749 0.3946 0.7269
0.3946 0.7269 0.7749
0.7269 0.7749 0.3946
0.7614 0.2955 0.9564
0.2955 0.9564 0.7614
0.9564 0.7614 0.2955
0.2386 0.7045 0.0436
0.7045 0.0436 0.2386
0.0436 0.2386 0.7045
0.9898 0.2187 0.9296
0.2187 0.9296 0.9898
0.9296 0.9898 0.2187
0.0102 0.7813 0.0704



PBE+U NaCa3Fe4Si8O24, relaxed; total magnetic moment = 17.00 μB per formula unit; V = 530.1 Å³ per cell; formation enthalpy at 0 K = -2750 meV per atom; electronic total energy = -7.196 eV per atom; E (MP2020) = -7.834 eV per atom
1.0
-6.3922 1.5446 3.9198
-5.5273 -2.0209 -4.8965
-5.4584 -8.8173 3.0305
Na Ca Fe Si O
1 3 4 8 24
direct
0.6582 0.3418 0.5000
0.1269 0.8731 0.0000
0.3633 0.1313 0.2613
0.8687 0.6367 0.7387
0.7389 0.2611 0.0000
0.7625 0.7263 0.2634
0.2997 0.7003 0.5000
0.2737 0.2375 0.7366
0.6257 0.8431 0.5086
0.3358 0.6271 0.7517
0.1162 0.3415 0.0002
0.1569 0.3743 0.4914
0.8374 0.1226 0.2566
0.8774 0.1626 0.7434
0.6585 0.8838 0.9998
0.3729 0.6642 0.2483
0.9174 0.9514 0.1899
0.4527 0.9104 0.4425
0.5204 0.7651 0.6925
0.7542 0.3420 0.7915
0.4113 0.4769 0.6637
0.6580 0.2458 0.2085
0.2578 0.5281 0.9320
0.2349 0.4796 0.3075
0.8328 0.7550 0.0530
0.9465 0.4270 0.9336
0.7544 0.6665 0.4632
0.0251 0.2633 0.1836
0.9688 0.2400 0.5600
0.2504 0.8388 0.3068
0.0486 0.0826 0.8101
0.1612 0.7496 0.6932
0.7600 0.0312 0.4400
0.7367 0.9749 0.8164
0.3335 0.2456 0.5368
0.5730 0.0535 0.0664
0.2450 0.1672 0.9470
0.4719 0.7422 0.0680
0.5231 0.5887 0.3363
0.0896 0.5473 0.5575



PBE+U Li3TiCr2O6, relaxed; total magnetic moment = 4.99 μB per formula unit; V = 111.5 Å³ per cell; formation enthalpy at 0 K = -2568 meV per atom; electronic total energy = -7.110 eV per atom; E (MP2020) = -7.786 eV per atom
1.0
15.5659 0.0423 0.0258
9.5364 2.8651 0.0211
9.5365 1.3239 2.5409
Li Ti Cr O
3 1 2 6
direct
0.1667 0.5000 0.5000
0.5001 0.4982 0.4982
0.8332 0.5018 0.5018
0.6667 0.0000 0.0000
0.0029 0.9982 0.9982
0.3304 0.0018 0.0018
0.2462 0.2580 0.2580
0.5807 0.2592 0.2592
0.0871 0.7420 0.7420
0.9194 0.2509 0.2509
0.4139 0.7491 0.7491
0.7526 0.7408 0.7408



PBE+U Sm2MnSb2O, relaxed; total magnetic moment = 5.68 μB per formula unit; V = 188.9 Å³ per cell; formation enthalpy at 0 K = -399 meV per atom; electronic total energy = -5.308 eV per atom; E (MP2020) = -5.700 eV per atom
1.0
-0.9995 1.7593 2.7474
-3.1889 0.0798 -1.2113
-3.2746 -13.8942 7.7056
Sm Mn Sb O
2 1 2 1
direct
0.5000 0.5000 0.6276
0.5000 0.5000 0.3724
0.5000 0.5000 0.0000
0.5000 0.5000 0.1669
0.5000 0.5000 0.8331
0.5000 0.5000 0.5000



PBE+U SmFeH8C6N6O4, relaxed; total magnetic moment = 5.00 μB per formula unit; V = 754.9 Å³ per cell; formation enthalpy at 0 K = -478 meV per atom; electronic total energy = -6.652 eV per atom; E (MP2020) = -6.844 eV per atom
1.0
3.8557 -6.7973 0.0000
3.8557 6.7973 0.0000
0.0000 0.0000 14.4021
Sm Fe H C N O
2 2 16 12 12 8
direct
0.3217 0.6783 0.2500
0.6783 0.3217 0.7500
0.0000 0.0000 0.0000
0.0000 0.0000 0.5000
0.5186 0.1302 0.1952
0.1302 0.5186 0.8048
0.5186 0.1302 0.3048
0.1302 0.5186 0.6952
0.4814 0.8698 0.8048
0.8698 0.4814 0.1952
0.4814 0.8698 0.6952
0.8698 0.4814 0.3048
0.5958 0.4042 0.0794
0.4042 0.5958 0.9206
0.5958 0.4042 0.4206
0.4042 0.5958 0.5794
0.7072 0.2928 0.0552
0.2928 0.7072 0.9448
0.7072 0.2928 0.4448
0.2928 0.7072 0.5552
0.1449 0.8551 0.0624
0.8551 0.1449 0.9376
0.1449 0.8551 0.4376
0.8551 0.1449 0.5624
0.2478 0.1497 0.9047
0.1497 0.2478 0.0953
0.2478 0.1497 0.5953
0.1497 0.2478 0.4047
0.7522 0.8503 0.0953
0.8503 0.7522 0.9047
0.7522 0.8503 0.4047
0.8503 0.7522 0.5953
0.2196 0.7804 0.1033
0.7804 0.2196 0.8967
0.2196 0.7804 0.3967
0.7804 0.2196 0.6033
0.6135 0.7768 0.1445
0.7768 0.6135 0.8555
0.6135 0.7768 0.3555
0.7768 0.6135 0.6445
0.3865 0.2232 0.8555
0.2232 0.3865 0.1445
0.3865 0.2232 0.6445
0.2232 0.3865 0.3555
0.4749 0.0421 0.2500
0.0421 0.4749 0.7500
0.5251 0.9579 0.7500
0.9579 0.5251 0.2500
0.6612 0.3388 0.1075
0.3388 0.6612 0.8925
0.6612 0.3388 0.3925
0.3388 0.6612 0.6075



PBE+U LiV2P3O12, relaxed; total magnetic moment = 2.00 μB per formula unit; V = 424.7 Å³ per cell; formation enthalpy at 0 K = -2597 meV per atom; electronic total energy = -7.267 eV per atom; E (MP2020) = -7.914 eV per atom
1.0
3.0653 9.0192 0.0000
-3.0653 9.0192 0.0000
0.0000 2.2734 7.6807
Li V P O
2 4 6 24
direct
0.5000 0.5000 0.0000
0.5000 0.5000 0.5000
0.7025 0.0293 0.0941
0.0293 0.7025 0.5941
0.9707 0.2975 0.4059
0.2975 0.9707 0.9059
0.1456 0.5015 0.2241
0.5015 0.1456 0.7241
0.4985 0.8544 0.2759
0.8544 0.4985 0.7759
0.9497 0.0503 0.7500
0.0503 0.9497 0.2500
0.7715 0.1721 0.9087
0.0380 0.8290 0.7360
0.1721 0.7715 0.4087
0.4010 0.3491 0.1640
0.8290 0.0380 0.2360
0.0746 0.5812 0.4080
0.0089 0.7101 0.0835
0.3491 0.4010 0.6640
0.5812 0.0746 0.9080
0.7101 0.0089 0.5835
0.6172 0.9074 0.2563
0.0926 0.3828 0.2437
0.9074 0.6172 0.7563
0.3828 0.0926 0.7437
0.2899 0.9911 0.4165
0.4188 0.9254 0.0920
0.6509 0.5990 0.3360
0.9911 0.2899 0.9165
0.9254 0.4188 0.5920
0.1710 0.9620 0.7640
0.5990 0.6509 0.8360
0.8279 0.2285 0.5913
0.9620 0.1710 0.2640
0.2285 0.8279 0.0913



PBE+U Na2FeSnP3O12, relaxed; total magnetic moment = 5.00 μB per formula unit; V = 1001.5 Å³ per cell; formation enthalpy at 0 K = -2480 meV per atom; electronic total energy = -6.703 eV per atom; E (MP2020) = -7.256 eV per atom
1.0
-2.4231 -3.2601 8.0096
5.0740 -6.0760 4.2536
9.1015 4.3017 14.8932
Na Fe Sn P O
8 4 4 12 48
direct
0.4924 0.5107 0.2503
0.6228 0.2503 0.4383
0.8834 0.6299 0.1245
0.0096 0.9984 0.4937
0.4994 0.4990 0.7509
0.2457 0.8824 0.8166
0.6292 0.2451 0.9434
0.8790 0.6208 0.6246
0.6438 0.6571 0.3238
0.8601 0.8499 0.4199
0.6508 0.6514 0.8275
0.8478 0.8510 0.9279
0.1408 0.1377 0.0719
0.3559 0.3529 0.1789
0.1431 0.1451 0.5708
0.3561 0.3575 0.6779
0.0392 0.7471 0.2297
0.4629 0.0405 0.3754
0.7500 0.4598 0.0211
0.2503 0.5452 0.4773
0.5382 0.9556 0.1263
0.0397 0.7510 0.7304
0.9586 0.2476 0.2712
0.4604 0.0411 0.8752
0.7498 0.4622 0.5190
0.2498 0.5390 0.9789
0.5428 0.9569 0.6251
0.9564 0.2498 0.7709
0.1234 0.2830 0.2576
0.2785 0.5125 0.0632
0.0593 0.9150 0.1409
0.5141 0.1269 0.1380
0.0066 0.7837 0.3127
0.2234 0.5796 0.2203
0.2772 0.0600 0.4588
0.4408 0.2233 0.2916
0.5805 0.4404 0.1120
0.2229 0.3730 0.4925
0.0771 0.7195 0.4705
0.3708 0.9862 0.1102
0.6206 0.0150 0.3972
0.1273 0.2780 0.7561
0.9170 0.2814 0.0304
0.7871 0.6244 0.0059
0.4229 0.5600 0.3902
0.2773 0.5148 0.5637
0.5686 0.7754 0.2091
0.0602 0.9178 0.6380
0.5124 0.1275 0.6397
0.7152 0.9335 0.0403
0.0113 0.7918 0.8106
0.7783 0.4179 0.2817
0.2237 0.5832 0.7198
0.9879 0.2215 0.1855
0.2813 0.0606 0.9580
0.4949 0.8772 0.3558
0.9307 0.0820 0.3620
0.4408 0.2244 0.7902
0.7073 0.4889 0.4395
0.5827 0.4402 0.6118
0.2260 0.3665 0.9935
0.0805 0.7152 0.9665
0.8790 0.7045 0.2440
0.3715 0.9867 0.6112
0.6250 0.0127 0.8929
0.9166 0.2767 0.5298
0.7912 0.6215 0.5063
0.4208 0.5627 0.8890
0.5627 0.7779 0.7104
0.7216 0.9358 0.5413
0.7780 0.4206 0.7817
0.9853 0.2272 0.6839
0.4901 0.8806 0.8529
0.9338 0.0802 0.8581
0.7078 0.4891 0.9400
0.8801 0.7082 0.7435